Eu2MgCd: relaxed, PBE-GGA.

Cell: 5.6049 5.6049 5.6049 Å, 60.00 60.00 60.00°
Closest atoms and distances in Å follow each position.
Fractional positions:
1 Eu 0.2500 0.2500 0.2500  4 Cd 3.43, 4 Mg 3.43
2 Eu 0.7500 0.7500 0.7500  4 Cd 3.43, 4 Mg 3.43
3 Mg 0.0000 0.0000 0.0000  8 Eu 3.43
4 Cd 0.5000 0.5000 0.5000  8 Eu 3.43

Computed properties:
The calculation puts the energy relative to the elements at -4.92 kcal/mol of atoms.

***

EuCdO3: relaxed, PBE-GGA.

Cell: 4.1633 4.1633 4.1633 Å, 90.00 90.00 90.00°
Closest atoms and distances in Å follow each position.
Fractional positions:
1 Eu 0.0000 0.0000 0.0000  12 O 2.94
2 Cd 0.5000 0.5000 0.5000  6 O 2.08
3 O 0.5000 0.5000 0.0000  2 Cd 2.08
4 O 0.5000 0.0000 0.5000  2 Cd 2.08
5 O 0.0000 0.5000 0.5000  2 Cd 2.08

Computed properties:
The calculation puts the energy relative to the elements at -38.96 kcal/mol of atoms.

***

Eu2CdPb: relaxed, PBE-GGA.

Cell: 5.6687 5.6687 5.6687 Å, 60.00 60.00 60.00°
Closest atoms and distances in Å follow each position.
Fractional positions:
1 Eu 0.7500 0.7500 0.7500  4 Cd 3.47, 4 Pb 3.47
2 Eu 0.2500 0.2500 0.2500  4 Cd 3.47, 4 Pb 3.47
3 Cd 0.5000 0.5000 0.5000  8 Eu 3.47
4 Pb 0.0000 0.0000 0.0000  8 Eu 3.47

Computed properties:
The calculation puts the energy relative to the elements at -11.71 kcal/mol of atoms.

***

EuCdPb: relaxed, PBE-GGA.

Cell: 5.0941 5.0941 7.9843 Å, 90.00 90.00 120.00°
Closest atoms and distances in Å follow each position.
Fractional positions:
1 Eu 0.0000 0.0000 0.7515  3 Cd 3.35, 3 Pb 3.38
2 Eu 0.0000 0.0000 0.2515  3 Cd 3.35, 3 Pb 3.38
3 Cd 0.6667 0.3333 0.9522  4 Pb 3.03-3.27, 3 Eu 3.35
4 Cd 0.3333 0.6667 0.4522  4 Pb 3.03-3.27, 3 Eu 3.35
5 Pb 0.6667 0.3333 0.5433  4 Cd 3.03-3.27, 3 Eu 3.38
6 Pb 0.3333 0.6667 0.0433  4 Cd 3.03-3.27, 3 Eu 3.38

Computed properties:
The calculation puts the energy relative to the elements at -10.18 kcal/mol of atoms.

***

EuCdPt: relaxed, PBE-GGA.

Cell: 4.4096 7.4690 8.6956 Å, 90.00 90.00 90.00°
Closest atoms and distances in Å follow each position.
Fractional positions:
1 Eu 0.2500 0.0335 0.3212  5 Pt 3.15-3.17, 5 Cd 3.40-3.44
2 Eu 0.2500 0.5335 0.1788  5 Pt 3.15-3.17, 5 Cd 3.40-3.44
3 Eu 0.7500 0.9665 0.6788  5 Pt 3.15-3.17, 5 Cd 3.40-3.44
4 Eu 0.7500 0.4665 0.8212  5 Pt 3.15-3.17, 5 Cd 3.40-3.44
5 Cd 0.2500 0.1409 0.9366  4 Pt 2.84-2.88
6 Cd 0.2500 0.6409 0.5634  4 Pt 2.84-2.88
7 Cd 0.7500 0.8591 0.0634  4 Pt 2.84-2.88
8 Cd 0.7500 0.3591 0.4366  4 Pt 2.84-2.88
9 Pt 0.2500 0.2622 0.6272  4 Cd 2.84-2.88, 5 Eu 3.15-3.17
10 Pt 0.2500 0.7622 0.8728  4 Cd 2.84-2.88, 5 Eu 3.15-3.17
11 Pt 0.7500 0.7378 0.3728  4 Cd 2.84-2.88, 5 Eu 3.15-3.17
12 Pt 0.7500 0.2378 0.1272  4 Cd 2.84-2.88, 5 Eu 3.15-3.17

Computed properties:
The calculation puts the energy relative to the elements at -17.38 kcal/mol of atoms.

***

EuCd2Sb2: relaxed, PBE-GGA.

Cell: 4.7680 4.7680 7.7003 Å, 90.00 90.00 120.00°
Closest atoms and distances in Å follow each position.
Fractional positions:
1 Eu 0.0000 0.0000 0.0000  6 Sb 3.33
2 Cd 0.6667 0.3333 0.3660  4 Sb 2.91-3.00
3 Cd 0.3333 0.6667 0.6340  4 Sb 2.91-3.00
4 Sb 0.6667 0.3333 0.7562  4 Cd 2.91-3.00
5 Sb 0.3333 0.6667 0.2438  4 Cd 2.91-3.00

Computed properties:
The calculation puts the energy relative to the elements at -13.27 kcal/mol of atoms.